Density functional theory data (GGA-PBE) for a relaxed Na5H7Se4O18 crystal.

- ΔE_f: -143.1 kJ/mol of atoms
- Total moment: 0.0 μB/cell

Structure (POSCAR):
```
Na5H7Se4O18
1.0
6.121 0.000 0.000
-1.376 7.250 0.000
-1.685 -2.490 9.640
O Se Na H
18 4 5 7
Direct
0.303 0.559 0.722
0.667 0.876 0.794
0.054 0.820 0.397
0.777 0.485 0.547
0.778 0.083 0.227
0.892 0.695 0.044
0.487 0.160 0.556
0.250 0.611 0.207
0.333 0.124 0.206
0.108 0.305 0.956
0.946 0.180 0.603
0.223 0.515 0.453
0.513 0.840 0.444
0.750 0.389 0.793
0.222 0.917 0.773
0.415 0.771 0.981
0.697 0.441 0.278
0.585 0.229 0.019
0.412 0.797 0.824
0.588 0.203 0.176
0.246 0.691 0.373
0.754 0.309 0.627
0.866 0.829 0.604
0.646 0.744 0.195
0.354 0.256 0.805
0.134 0.171 0.396
0.000 0.000 0.000
0.024 0.660 0.096
0.840 0.599 0.955
0.160 0.401 0.045
0.272 0.557 0.619
0.728 0.443 0.381
0.976 0.340 0.904
0.500 0.000 0.500
```



Density functional theory data (GGA-PBE) for a relaxed Na5H7Se4O18 crystal.

- ΔE_f: -139.8 kJ/mol of atoms
- Total moment: 0.0 μB/cell

Structure (POSCAR):
```
Na5H7Se4O18
1.0
-0.123 -0.069 -6.199
1.606 -6.954 1.295
-10.173 -0.385 1.407
Na H O Se
5 7 18 4
Direct
0.604 0.153 0.888
0.872 0.287 0.332
0.111 0.723 0.667
0.529 0.988 0.489
0.409 0.825 0.129
0.353 0.616 0.452
0.007 0.058 0.125
0.474 0.338 0.431
0.523 0.662 0.587
0.990 0.925 0.893
0.648 0.390 0.563
0.208 0.434 0.891
0.441 0.180 0.096
0.395 0.701 0.539
0.557 0.814 0.901
0.737 0.936 0.277
0.704 0.482 0.939
0.161 0.882 0.284
0.603 0.301 0.477
0.093 0.272 0.543
0.816 0.569 0.246
0.999 0.175 0.088
0.997 0.798 0.915
0.840 0.120 0.723
0.920 0.808 0.488
0.278 0.396 0.301
0.268 0.075 0.731
0.257 0.494 0.052
0.184 0.438 0.792
0.722 0.603 0.697
0.912 0.793 0.324
0.718 0.660 0.860
0.271 0.324 0.139
0.088 0.209 0.689
```



Density functional theory data (GGA-PBE) for a relaxed Na5H7Se4O18 crystal.

- ΔE_f: -103.4 kJ/mol of atoms
- Total moment: 0.0 μB/cell

Structure (POSCAR):
```
Na5H7Se4O18
1.0
6.249 0.000 0.000
-0.999 7.430 0.000
-1.251 -1.803 10.992
O H Se Na
18 7 4 5
Direct
0.912 0.543 0.241
0.822 0.732 0.817
0.114 0.409 0.780
0.986 0.070 0.075
0.931 0.217 0.010
0.105 0.957 0.003
0.903 0.142 0.463
0.467 0.136 0.078
0.434 0.764 0.897
0.720 0.859 0.249
0.808 0.096 0.708
0.939 0.794 0.476
0.142 0.835 0.537
0.253 0.076 0.764
0.095 0.190 0.536
0.629 0.477 0.945
0.371 0.270 0.307
0.172 0.880 0.277
0.889 0.805 0.896
0.450 0.628 0.408
0.657 0.322 0.595
0.265 0.036 0.026
0.565 0.359 0.562
0.067 0.306 0.027
0.370 0.683 0.383
0.064 0.193 0.713
0.934 0.764 0.295
0.562 0.594 0.833
0.452 0.334 0.178
0.406 0.800 0.107
0.978 0.235 0.280
0.599 0.154 0.881
0.490 0.026 0.462
0.141 0.745 0.738
```



Density functional theory data (GGA-PBE) for a relaxed Na5H7Se4O18 crystal.

- ΔE_f: -143.2 kJ/mol of atoms
- Total moment: 0.0 μB/cell

Structure (POSCAR):
```
Na5H7Se4O18
1.0
-2.788 4.862 -2.333
-5.936 -4.084 1.961
2.978 3.907 8.756
O H Na Se
18 7 5 4
Direct
0.517 0.840 0.448
0.586 0.228 0.018
0.669 0.875 0.795
0.946 0.179 0.602
0.220 0.915 0.774
0.906 0.703 0.034
0.749 0.389 0.796
0.688 0.437 0.278
0.331 0.126 0.207
0.485 0.160 0.558
0.769 0.480 0.547
0.780 0.084 0.227
0.232 0.520 0.454
0.313 0.563 0.724
0.414 0.773 0.984
0.094 0.296 0.964
0.260 0.617 0.208
0.056 0.823 0.400
0.713 0.438 0.382
0.288 0.561 0.621
0.854 0.609 0.944
0.050 0.678 0.080
0.146 0.388 0.054
0.500 0.985 0.498
0.953 0.324 0.917
0.655 0.741 0.190
0.869 0.823 0.605
0.346 0.258 0.807
0.136 0.176 0.400
0.000 0.001 0.000
0.586 0.202 0.176
0.748 0.306 0.627
0.249 0.693 0.374
0.414 0.799 0.826
```



Density functional theory data (GGA-PBE) for a relaxed Na5H7Se4O18 crystal.

- ΔE_f: -143.4 kJ/mol of atoms
- Total moment: 0.0 μB/cell

Structure (POSCAR):
```
Na5H7Se4O18
1.0
6.726 9.049 0.000
-6.726 9.049 0.000
0.000 1.399 7.113
O Na H Se
36 10 14 8
Direct
0.617 0.974 0.147
0.888 0.125 0.992
0.459 0.422 0.854
0.850 0.859 0.270
0.230 0.413 0.595
0.876 0.110 0.508
0.359 0.198 0.543
0.638 0.804 0.461
0.110 0.876 0.008
0.859 0.850 0.770
0.974 0.617 0.647
0.023 0.382 0.354
0.189 0.591 0.280
0.973 0.330 0.023
0.278 0.636 0.586
0.410 0.806 0.219
0.413 0.230 0.095
0.139 0.149 0.231
0.576 0.544 0.615
0.029 0.669 0.975
0.591 0.189 0.780
0.422 0.459 0.354
0.125 0.888 0.492
0.636 0.278 0.086
0.804 0.638 0.961
0.728 0.358 0.408
0.773 0.585 0.399
0.806 0.410 0.719
0.149 0.139 0.731
0.358 0.728 0.908
0.382 0.023 0.854
0.198 0.359 0.043
0.669 0.029 0.475
0.585 0.773 0.899
0.544 0.576 0.115
0.330 0.973 0.523
0.557 0.250 0.431
0.753 0.433 0.062
0.972 0.625 0.313
0.250 0.557 0.931
0.000 0.001 0.750
0.433 0.753 0.562
0.374 0.035 0.188
0.035 0.374 0.688
0.625 0.972 0.813
0.001 0.000 0.250
0.718 0.696 0.934
0.797 0.161 0.008
0.200 0.841 0.992
0.300 0.288 0.568
0.161 0.797 0.508
0.533 0.485 0.719
0.196 0.922 0.489
0.288 0.300 0.068
0.485 0.533 0.219
0.841 0.200 0.492
0.077 0.803 0.012
0.696 0.718 0.434
0.803 0.077 0.512
0.922 0.196 0.989
0.922 0.699 0.825
0.699 0.922 0.325
0.277 0.528 0.452
0.079 0.300 0.174
0.528 0.277 0.952
0.729 0.468 0.535
0.468 0.729 0.035
0.300 0.079 0.674
```



Density functional theory data (GGA-PBE) for a relaxed NaHSeO4 crystal.

- ΔE_f: -140.7 kJ/mol of atoms
- Total moment: 0.0 μB/cell
- Largest piezoelectric modulus: 0.48 C/m²

Structure (POSCAR):
```
NaHSeO4
1.0
-3.672 1.739 3.224
4.496 0.759 3.547
2.035 5.281 -3.562
O H Na Se
8 2 2 2
Direct
0.701 0.371 0.851
0.231 0.123 0.894
0.804 0.477 0.349
0.323 0.146 0.508
0.322 0.619 0.162
0.217 0.531 0.668
0.682 0.873 0.499
0.786 0.876 0.118
0.469 0.038 0.514
0.969 0.513 0.480
0.968 0.752 0.848
0.030 0.253 0.159
0.637 0.726 0.275
0.373 0.297 0.747
```



Density functional theory data (GGA-PBE) for a relaxed NaHSeO4 crystal.

- ΔE_f: -140.5 kJ/mol of atoms
- Total moment: 0.0 μB/cell

Structure (POSCAR):
```
NaHSeO4
1.0
7.987 0.000 0.000
0.000 5.361 0.000
0.000 3.594 8.842
O Se Na H
16 4 4 4
Direct
0.254 0.769 0.678
0.108 0.273 0.549
0.932 0.766 0.861
0.157 0.120 0.891
0.568 0.766 0.361
0.432 0.234 0.639
0.892 0.727 0.451
0.068 0.234 0.139
0.657 0.880 0.609
0.608 0.727 0.951
0.246 0.769 0.178
0.392 0.273 0.049
0.746 0.231 0.322
0.343 0.120 0.391
0.843 0.880 0.109
0.754 0.231 0.822
0.725 0.914 0.438
0.775 0.914 0.938
0.225 0.086 0.062
0.275 0.086 0.562
0.000 0.500 0.296
0.000 0.500 0.704
0.500 0.500 0.204
0.500 0.500 0.796
0.538 0.134 0.632
0.462 0.866 0.368
0.038 0.866 0.868
0.962 0.134 0.132
```



Density functional theory data (GGA-PBE) for a relaxed Na4Sn2H26Se6O13 crystal.

- ΔE_f: -111.1 kJ/mol of atoms
- Total moment: 0.0 μB/cell

Structure (POSCAR):
```
Na4Sn2H26Se6O13
1.0
2.015 1.078 -6.912
1.261 10.324 -1.304
18.355 2.103 4.430
O Na H Se Sn
26 8 52 12 4
Direct
0.309 0.676 0.277
0.332 0.136 0.467
0.559 0.258 0.110
0.729 0.490 0.002
0.046 0.049 0.806
0.550 0.131 0.288
0.708 0.435 0.198
0.777 0.652 0.719
0.292 0.565 0.802
0.431 0.859 0.385
0.934 0.839 0.382
0.668 0.864 0.533
0.018 0.149 0.299
0.450 0.869 0.712
0.791 0.440 0.830
0.605 0.018 0.792
0.209 0.560 0.170
0.441 0.742 0.890
0.271 0.510 0.998
0.395 0.982 0.208
0.223 0.348 0.281
0.569 0.141 0.615
0.066 0.161 0.618
0.954 0.951 0.194
0.691 0.324 0.723
0.982 0.851 0.701
0.616 0.005 0.409
0.168 0.911 0.295
0.832 0.089 0.705
0.488 0.507 0.094
0.205 0.817 0.794
0.384 0.995 0.591
0.512 0.493 0.906
0.795 0.183 0.206
0.502 0.926 0.737
0.376 0.784 0.930
0.902 0.757 0.375
0.684 0.472 0.242
0.722 0.374 0.677
0.804 0.854 0.543
0.321 0.054 0.170
0.918 0.383 0.851
0.217 0.422 0.238
0.196 0.146 0.457
0.002 0.812 0.429
0.449 0.662 0.282
0.498 0.074 0.263
0.998 0.188 0.571
0.371 0.835 0.431
0.560 0.788 0.709
0.845 0.604 0.682
0.051 0.942 0.156
0.624 0.216 0.070
0.811 0.472 0.175
0.666 0.770 0.535
0.761 0.386 0.796
0.082 0.617 0.149
0.504 0.079 0.818
0.679 0.946 0.830
0.912 0.782 0.711
0.098 0.243 0.625
0.157 0.581 0.976
0.960 0.158 0.346
0.476 0.225 0.626
0.843 0.419 0.024
0.878 0.892 0.185
0.088 0.218 0.289
0.551 0.338 0.718
0.440 0.212 0.291
0.496 0.921 0.182
0.316 0.528 0.758
0.334 0.230 0.465
0.040 0.842 0.654
0.524 0.775 0.374
0.155 0.396 0.318
0.629 0.165 0.569
0.571 0.755 0.890
0.239 0.614 0.204
0.783 0.578 0.762
0.278 0.626 0.323
0.429 0.245 0.110
0.189 0.528 0.825
0.122 0.108 0.815
0.221 0.433 0.021
0.949 0.058 0.844
0.779 0.567 0.979
0.239 0.870 0.036
0.310 0.472 0.442
0.754 0.760 0.126
0.761 0.130 0.964
0.690 0.528 0.558
0.229 0.412 0.668
0.149 0.816 0.536
0.109 0.255 0.091
0.246 0.240 0.874
0.771 0.588 0.332
0.851 0.184 0.464
0.891 0.745 0.909
0.315 0.565 0.561
0.685 0.435 0.439
0.114 0.133 0.988
0.886 0.867 0.012
```